No. 1
The following is a DFT calculation (PBE) of an optimized crystal structure of CuAgPO4. Values from VASP.

```
&SYSTEM
  ibrav = 0, nat = 56, ntyp = 4
/
ATOMIC_SPECIES
Cu 63.55 Cu.upf
Ag 107.87 Ag.upf
P 30.97 P.upf
O 16.00 O.upf
CELL_PARAMETERS angstrom
5.771 0.000 0.000
0.000 7.623 0.000
0.000 0.000 15.950
ATOMIC_POSITIONS angstrom
Cu 0.664 1.368 0.454
Cu 0.664 2.444 8.429
Cu 2.221 5.179 0.454
Cu 2.221 6.255 8.429
Cu 3.550 1.368 7.521
Cu 3.550 2.444 15.496
Cu 5.107 5.179 7.521
Cu 5.107 6.255 15.496
Ag 0.719 5.068 11.399
Ag 0.719 6.366 3.424
Ag 2.167 1.257 11.399
Ag 2.167 2.554 3.424
Ag 3.604 5.068 12.527
Ag 3.604 6.366 4.552
Ag 5.052 1.257 12.527
Ag 5.052 2.554 4.552
P 0.580 0.197 6.213
P 0.580 3.615 14.189
P 2.306 4.008 6.213
P 2.306 7.426 14.189
P 3.465 0.197 1.762
P 3.465 3.615 9.737
P 5.191 4.008 1.762
P 5.191 7.426 9.737
O 0.221 1.140 9.816
O 0.221 2.671 1.841
O 0.300 5.145 1.099
O 0.300 6.290 9.074
O 0.938 0.643 4.777
O 0.938 3.169 12.752
O 1.014 3.835 7.084
O 1.014 7.600 15.059
O 1.871 0.023 7.084
O 1.871 3.788 15.059
O 1.948 4.454 4.777
O 1.948 6.980 12.752
O 2.585 1.333 1.099
O 2.585 2.478 9.074
O 2.664 4.952 9.816
O 2.664 6.483 1.841
O 3.107 1.140 14.110
O 3.107 2.671 6.135
O 3.186 5.145 6.877
O 3.186 6.290 14.852
O 3.823 0.643 3.199
O 3.823 3.169 11.174
O 3.899 3.835 0.892
O 3.899 7.600 8.867
O 4.757 0.023 0.892
O 4.757 3.788 8.867
O 4.833 4.454 3.199
O 4.833 6.980 11.174
O 5.471 1.333 6.877
O 5.471 2.478 14.852
O 5.549 4.952 14.110
O 5.549 6.483 6.135
```

Results
Final energy   -5.8889 eV/atom
DFT formation energy   -38.98 kcal/mol of atoms
Theoretical density   5.0 Mg/m³

=====

No. 2
The following is a DFT calculation (PBE) of an optimized crystal structure of Y6FeBi2. Values from VASP.

```
&SYSTEM
  ibrav = 0, nat = 9, ntyp = 3
/
ATOMIC_SPECIES
Y 88.91 Y.upf
Fe 55.84 Fe.upf
Bi 208.98 Bi.upf
CELL_PARAMETERS angstrom
8.368 0.000 0.000
-4.184 7.247 0.000
0.000 0.000 4.220
ATOMIC_POSITIONS angstrom
Y -0.974 1.687 0.000
Y -2.527 4.378 2.110
Y 1.948 0.000 0.000
Y 1.657 2.870 2.110
Y 5.055 0.000 2.110
Y 3.210 5.560 0.000
Fe 0.000 0.000 2.110
Bi 0.000 4.831 0.000
Bi 4.184 2.416 0.000
```

Results
Final energy   -6.5597 eV/atom
DFT formation energy   -10.22 kcal/mol of atoms
Theoretical density   6.5 Mg/m³

=====

No. 3
The following is a DFT calculation (PBE) of an optimized crystal structure of Na6Zn3B9P6H3O38. Values from VASP.

```
&SYSTEM
  ibrav = 0, nat = 130, ntyp = 6
/
ATOMIC_SPECIES
Na 22.99 Na.upf
Zn 65.41 Zn.upf
B 10.81 B.upf
P 30.97 P.upf
H 1.01 H.upf
O 16.00 O.upf
CELL_PARAMETERS angstrom
11.842 0.000 0.000
-5.921 10.255 0.000
0.000 0.000 12.260
ATOMIC_POSITIONS angstrom
Na 0.000 0.000 0.000
Na 0.000 0.000 6.130
Na -1.502 2.954 3.155
Na -2.612 10.079 3.155
Na 1.807 2.777 9.285
Na 0.000 6.837 5.064
Na 0.000 6.837 11.045
Na 5.921 3.418 4.915
Na 5.921 3.418 11.194
Na 4.114 7.478 3.155
Na 8.533 0.177 9.285
Na 7.423 7.302 9.285
Zn -2.938 5.191 0.034
Zn 2.894 5.116 0.034
Zn 5.878 0.052 6.163
Zn 0.043 10.204 0.034
Zn 3.027 5.139 6.163
Zn 8.859 5.064 6.163
B -1.247 2.963 7.995
B -1.227 3.039 10.463
B -1.858 5.068 9.177
B -2.731 9.854 7.995
B -2.675 9.799 10.463
B 1.942 2.562 1.865
B 2.018 2.582 4.333
B -0.603 9.331 9.177
B 3.460 4.143 3.047
B 2.461 6.113 9.177
B 6.524 0.925 3.047
B 3.903 7.673 10.463
B 3.979 7.694 7.995
B 8.596 0.456 4.333
B 8.652 0.401 1.865
B 7.779 5.188 3.047
B 7.148 7.217 4.333
B 7.168 7.293 1.865
P -0.070 3.910 0.519
P -0.022 3.894 5.738
P -2.537 8.328 5.738
P -2.500 8.361 0.519
P 3.361 1.967 11.868
P 3.351 2.016 6.648
P 2.570 8.240 0.519
P 2.560 8.289 5.738
P 8.421 1.894 6.648
P 8.458 1.928 11.868
P 5.943 6.361 11.868
P 5.991 6.346 6.648
H -1.920 6.759 8.184
H 1.028 5.214 8.184
H 0.892 8.539 8.184
H 5.029 1.717 2.054
H 4.893 5.042 2.054
H 7.841 3.497 2.054
O 0.000 0.000 3.681
O 0.000 0.000 9.811
O -1.800 4.357 8.000
O -1.769 4.459 10.414
O -0.567 2.696 9.233
O -1.416 4.349 1.097
O -3.556 8.160 4.560
O -3.579 8.272 1.656
O -1.328 4.427 5.124
O -0.282 2.818 6.862
O -0.269 2.896 11.574
O -1.979 6.446 9.122
O -3.340 9.091 6.862
O -3.278 9.040 11.574
O -2.019 6.986 6.270
O -1.980 7.001 0.073
O -3.303 9.398 9.233
O 0.547 3.020 1.656
O 0.632 3.096 4.560
O 2.052 1.839 3.104
O 2.299 1.653 0.732
O 2.374 1.681 5.445
O 2.889 1.036 7.786
O 2.997 1.001 10.690
O 0.848 5.040 0.073
O 0.880 5.014 6.270
O -1.423 9.192 5.124
O -1.446 9.307 1.097
O 0.000 6.837 2.617
O -1.248 9.636 8.000
O -1.175 9.558 10.414
O 1.328 5.318 9.122
O 3.059 3.401 7.226
O 2.873 3.737 1.870
O 3.170 3.363 11.254
O 2.977 3.761 4.284
O 0.651 8.746 9.122
O 4.782 1.745 0.140
O 4.789 1.785 6.203
O 1.132 8.470 0.073
O 1.139 8.511 6.270
O 5.270 1.509 2.992
O 2.944 6.494 10.414
O 2.751 6.892 5.124
O 3.048 6.519 8.000
O 2.862 6.855 1.097
O 4.593 4.937 2.992
O 7.096 0.697 4.284
O 7.169 0.620 1.870
O 5.921 3.418 8.747
O 7.367 0.948 7.226
O 7.344 1.064 11.254
O 5.041 5.241 0.140
O 5.073 5.215 6.203
O 2.924 9.255 4.560
O 3.032 9.220 1.656
O 3.547 8.574 11.574
O 3.622 8.602 6.862
O 3.869 8.417 9.233
O 5.289 7.160 10.690
O 5.374 7.236 7.786
O 9.224 0.858 3.104
O 7.901 3.255 6.203
O 7.940 3.269 0.140
O 9.199 1.215 5.445
O 9.261 1.164 0.732
O 7.900 3.809 2.992
O 6.190 7.359 5.445
O 6.203 7.438 0.732
O 7.249 5.829 11.254
O 9.500 1.984 7.786
O 9.477 2.095 10.690
O 7.337 5.906 7.226
O 6.488 7.559 3.104
O 7.690 5.797 4.284
O 7.721 5.899 1.870
```

Results
Final energy   -6.6766 eV/atom
DFT formation energy   -55.90 kcal/mol of atoms
Theoretical density   2.7 Mg/m³

=====

No. 4
The following is a DFT calculation (PBE) of an optimized crystal structure of LaS2. Values from VASP.

```
&SYSTEM
  ibrav = 0, nat = 12, ntyp = 2
/
ATOMIC_SPECIES
La 138.91 La.upf
S 32.06 S.upf
CELL_PARAMETERS angstrom
8.222 0.000 0.000
0.000 4.142 0.000
-0.008 0.000 8.202
ATOMIC_POSITIONS angstrom
La 1.829 0.879 3.037
La 1.825 1.192 7.138
La 6.389 2.950 1.065
La 6.385 3.262 5.166
S 1.107 3.055 1.030
S 1.103 3.157 5.131
S 4.088 2.700 3.239
S 4.084 3.512 7.340
S 4.129 0.629 0.862
S 4.125 1.441 4.964
S 7.110 0.984 3.071
S 7.106 1.087 7.172
```

Results
Final energy   -6.2653 eV/atom
DFT formation energy   -50.68 kcal/mol of atoms
Theoretical density   4.8 Mg/m³

=====

No. 5
The following is a DFT calculation (PBE) of an optimized crystal structure of RbSnF3. Values from VASP.

```
&SYSTEM
  ibrav = 0, nat = 5, ntyp = 3
/
ATOMIC_SPECIES
Rb 85.47 Rb.upf
Sn 118.71 Sn.upf
F 19.00 F.upf
CELL_PARAMETERS angstrom
4.610 0.000 0.000
0.035 4.639 0.000
0.410 0.614 5.249
ATOMIC_POSITIONS angstrom
Rb 0.000 0.000 0.000
Sn 2.701 2.895 2.993
F 0.507 2.888 3.404
F 2.775 3.009 5.084
F 2.700 0.740 3.417
```

Results
Piezoelectric modulus e_max   3.51 C/m²
Final energy   -4.6115 eV/atom
DFT formation energy   -63.23 kcal/mol of atoms
Theoretical density   3.9 Mg/m³

=====

No. 6
The following is a DFT calculation (PBE) of an optimized crystal structure of Hf5NiSn3. Values from VASP.

```
&SYSTEM
  ibrav = 0, nat = 18, ntyp = 3
/
ATOMIC_SPECIES
Hf 178.49 Hf.upf
Ni 58.69 Ni.upf
Sn 118.71 Sn.upf
CELL_PARAMETERS angstrom
8.584 0.000 0.000
-4.292 7.434 0.000
0.000 0.000 5.854
ATOMIC_POSITIONS angstrom
Hf -1.087 1.882 1.463
Hf -3.205 5.552 4.390
Hf 2.173 0.000 1.463
Hf 1.087 1.882 4.390
Hf 0.000 4.956 0.000
Hf 0.000 4.956 2.927
Hf 4.292 2.478 0.000
Hf 4.292 2.478 2.927
Hf 6.411 0.000 4.390
Hf 3.205 5.552 1.463
Ni 0.000 0.000 0.000
Ni 0.000 0.000 2.927
Sn -1.687 2.923 4.390
Sn -2.604 4.511 1.463
Sn 3.375 0.000 4.390
Sn 1.687 2.923 1.463
Sn 5.209 0.000 1.463
Sn 2.604 4.511 4.390
```

Results
Final energy   -7.9336 eV/atom
DFT formation energy   -9.76 kcal/mol of atoms
Theoretical density   11.6 Mg/m³

=====

No. 7
The following is a DFT calculation (PBE) of an optimized crystal structure of Mo2C. Values from VASP.

```
&SYSTEM
  ibrav = 0, nat = 3, ntyp = 2
/
ATOMIC_SPECIES
Mo 95.94 Mo.upf
C 12.01 C.upf
CELL_PARAMETERS angstrom
2.885 0.000 0.000
-1.442 2.498 0.000
0.000 0.000 5.485
ATOMIC_POSITIONS angstrom
Mo 0.000 0.000 1.352
Mo 0.000 0.000 4.133
C 1.442 0.833 2.743
```

Results
Final energy   -9.7612 eV/atom
DFT formation energy   12.58 kcal/mol of atoms
Theoretical density   8.6 Mg/m³

=====

No. 8
The following is a DFT calculation (PBE) of an optimized crystal structure of Y3Pu. Values from VASP.

```
&SYSTEM
  ibrav = 0, nat = 8, ntyp = 2
/
ATOMIC_SPECIES
Y 88.91 Y.upf
Pu 244.00 Pu.upf
CELL_PARAMETERS angstrom
7.201 0.000 0.000
-3.600 6.236 0.000
0.000 0.000 5.482
ATOMIC_POSITIONS angstrom
Y 0.000 2.100 1.370
Y -1.782 5.186 1.370
Y 1.818 1.050 4.111
Y 1.782 5.186 1.370
Y 5.382 1.050 4.111
Y 3.600 4.136 4.111
Pu 0.000 4.157 4.111
Pu 3.600 2.079 1.370
```

Results
Final energy   -8.2886 eV/atom
DFT formation energy   2.96 kcal/mol of atoms
Theoretical density   6.9 Mg/m³

=====

No. 9
The following is a DFT calculation (PBE) of an optimized crystal structure of PrSn3Ru. Values from VASP.

```
&SYSTEM
  ibrav = 0, nat = 40, ntyp = 3
/
ATOMIC_SPECIES
Pr 140.91 Pr.upf
Sn 118.71 Sn.upf
Ru 101.07 Ru.upf
CELL_PARAMETERS angstrom
9.859 0.000 0.000
0.000 9.859 0.000
0.000 0.000 9.859
ATOMIC_POSITIONS angstrom
Pr 0.000 0.000 0.000
Pr 0.000 2.465 4.929
Pr 0.000 7.394 4.929
Pr 2.465 4.929 0.000
Pr 4.929 0.000 2.465
Pr 4.929 0.000 7.394
Pr 4.929 4.929 4.929
Pr 7.394 4.929 0.000
Sn 0.000 3.082 1.549
Sn 0.000 3.082 8.309
Sn 0.000 6.777 1.549
Sn 0.000 6.777 8.309
Sn 1.549 0.000 3.082
Sn 1.549 0.000 6.777
Sn 1.847 4.929 3.380
Sn 1.847 4.929 6.479
Sn 3.082 1.549 0.000
Sn 3.082 8.309 0.000
Sn 3.380 1.847 4.929
Sn 3.380 8.011 4.929
Sn 4.929 3.380 1.847
Sn 4.929 3.380 8.011
Sn 4.929 6.479 1.847
Sn 4.929 6.479 8.011
Sn 6.479 1.847 4.929
Sn 6.479 8.011 4.929
Sn 6.777 1.549 0.000
Sn 6.777 8.309 0.000
Sn 8.011 4.929 3.380
Sn 8.011 4.929 6.479
Sn 8.309 0.000 3.082
Sn 8.309 0.000 6.777
Ru 2.465 2.465 2.465
Ru 2.465 2.465 7.394
Ru 2.465 7.394 2.465
Ru 2.465 7.394 7.394
Ru 7.394 2.465 2.465
Ru 7.394 2.465 7.394
Ru 7.394 7.394 2.465
Ru 7.394 7.394 7.394
```

Results
Final energy   -5.6983 eV/atom
DFT formation energy   -11.10 kcal/mol of atoms
Theoretical density   8.3 Mg/m³

=====

No. 10
The following is a DFT calculation (PBE) of an optimized crystal structure of Ba2Ca3Cu4HgO10. Values from VASP.

```
&SYSTEM
  ibrav = 0, nat = 20, ntyp = 5
/
ATOMIC_SPECIES
Ba 137.33 Ba.upf
Ca 40.08 Ca.upf
Cu 63.55 Cu.upf
Hg 200.59 Hg.upf
O 16.00 O.upf
CELL_PARAMETERS angstrom
3.898 0.000 0.000
0.000 3.898 0.000
0.000 0.000 19.402
ATOMIC_POSITIONS angstrom
Ba 0.000 0.000 2.922
Ba 0.000 0.000 16.480
Ca 0.000 0.000 6.440
Ca 0.000 0.000 9.701
Ca 0.000 0.000 12.962
Cu 1.949 1.949 4.896
Cu 1.949 1.949 8.053
Cu 1.949 1.949 11.349
Cu 1.949 1.949 14.506
Hg 1.949 1.949 0.000
O 0.000 1.949 4.851
O 0.000 1.949 8.069
O 0.000 1.949 11.333
O 0.000 1.949 14.552
O 1.949 0.000 4.851
O 1.949 0.000 8.069
O 1.949 0.000 11.333
O 1.949 0.000 14.552
O 1.949 1.949 2.006
O 1.949 1.949 17.396
```

Results
Final energy   -5.5150 eV/atom
DFT formation energy   -47.43 kcal/mol of atoms
Theoretical density   5.7 Mg/m³

=====

No. 11
The following is a DFT calculation (PBE) of an optimized crystal structure of EuPb3. Values from VASP.

```
&SYSTEM
  ibrav = 0, nat = 4, ntyp = 2
/
ATOMIC_SPECIES
Eu 151.96 Eu.upf
Pb 207.20 Pb.upf
CELL_PARAMETERS angstrom
4.970 0.000 0.000
0.000 4.970 0.000
0.000 0.000 4.970
ATOMIC_POSITIONS angstrom
Eu 0.000 0.000 0.000
Pb 0.000 2.485 2.485
Pb 2.485 0.000 2.485
Pb 2.485 2.485 0.000
```

Results
Final energy   -5.7088 eV/atom
DFT formation energy   -8.30 kcal/mol of atoms
Theoretical density   10.5 Mg/m³

=====

No. 12
The following is a DFT calculation (PBE) of an optimized crystal structure of BSe2. Values from VASP.

```
&SYSTEM
  ibrav = 0, nat = 24, ntyp = 2
/
ATOMIC_SPECIES
B 10.81 B.upf
Se 78.96 Se.upf
CELL_PARAMETERS angstrom
7.598 0.000 0.000
0.000 11.375 0.000
-4.106 0.000 8.001
ATOMIC_POSITIONS angstrom
B -0.901 1.528 2.007
B -2.954 4.160 6.007
B -1.861 7.192 6.126
B 0.192 9.870 2.125
B 3.300 1.505 5.875
B 5.353 4.182 1.875
B 6.447 7.215 1.994
B 4.394 9.847 5.994
Se -2.507 2.243 6.071
Se -0.454 3.445 2.071
Se 0.669 6.595 2.201
Se -1.384 10.467 6.201
Se 0.699 0.397 2.193
Se -1.354 5.290 6.193
Se -0.308 8.346 6.297
Se 1.744 8.716 2.297
Se 1.748 2.659 5.704
Se 3.801 3.029 1.704
Se 4.847 6.085 1.808
Se 2.794 10.977 5.808
Se 4.877 0.907 1.799
Se 2.824 4.780 5.800
Se 3.946 7.930 5.930
Se 5.999 9.132 1.929
```

Results
Final energy   -4.6908 eV/atom
DFT formation energy   -10.34 kcal/mol of atoms
Theoretical density   3.2 Mg/m³

=====

No. 13
The following is a DFT calculation (PBE) of an optimized crystal structure of TeMoWSeS2. Values from VASP.

```
&SYSTEM
  ibrav = 0, nat = 12, ntyp = 5
/
ATOMIC_SPECIES
Te 127.60 Te.upf
Mo 95.94 Mo.upf
W 183.84 W.upf
Se 78.96 Se.upf
S 32.06 S.upf
CELL_PARAMETERS angstrom
3.306 0.000 0.000
-1.653 2.863 0.000
0.000 0.000 39.295
ATOMIC_POSITIONS angstrom
Te 0.000 0.000 0.000
Te 0.000 0.000 3.826
Mo 0.000 0.000 33.842
Mo 0.000 1.909 1.914
W 0.000 0.000 9.382
W 0.000 1.909 16.724
Se 0.000 1.909 7.691
Se 0.000 1.909 11.072
S 0.000 0.000 15.188
S 0.000 0.000 18.259
S 0.000 1.909 32.314
S 0.000 1.909 35.368
```

Results
Energy above the lowest structure with this stoichiometry   0.016 eV per atom
Final energy   -7.0295 eV/atom
DFT formation energy   -17.17 kcal/mol of atoms
Theoretical density   4.9 Mg/m³